The following is a PBE calculation of a relaxed structure of Re6Pb5O19, from the Materials Project database.

Unit cell a=9.401 b=9.395 c=13.303 alpha=45.02 beta=90.00 gamma=90.00
Fractional positions:
O: 0.605 0.711 0.750
O: 0.251 0.670 0.080
O: 0.750 0.328 0.252
Pb: 0.391 0.708 0.897
Re: 0.618 0.500 0.750
O: 0.250 0.065 0.039
Pb: 0.500 0.000 0.500
Re: 0.754 0.368 0.383
Re: 0.247 0.861 0.256
O: 0.250 0.328 0.752
O: 0.750 0.672 0.248
O: 0.539 0.355 0.395
Pb: 0.102 0.999 0.607
Pb: 0.609 0.708 0.397
O: 0.747 0.354 0.539
Pb: 0.609 0.292 0.103
O: 0.749 0.330 0.920
O: 0.921 0.000 0.750
O: 0.253 0.354 0.039
Re: 0.115 0.500 0.250
O: 0.251 0.330 0.420
O: 0.251 0.000 0.750
O: 0.892 0.287 0.753
Re: 0.753 0.861 0.756
O: 0.960 0.645 0.108
Pb: 0.102 0.001 0.893
O: 0.539 0.645 0.105
Pb: 0.391 0.292 0.603
O: 0.395 0.289 0.250
O: 0.395 0.711 0.250
O: 0.461 0.355 0.895
O: 0.079 0.000 0.250
O: 0.253 0.646 0.461
O: 0.461 0.645 0.605
O: 0.582 0.000 0.750
O: 0.892 0.713 0.747
O: 0.108 0.713 0.247
Re: 0.247 0.139 0.244
O: 0.605 0.289 0.750
Re: 0.754 0.632 0.117
O: 0.108 0.287 0.253
O: 0.250 0.672 0.748
Pb: 0.898 0.999 0.107
O: 0.747 0.646 0.961
Re: 0.885 0.500 0.750
Pb: 0.898 0.001 0.393
Re: 0.753 0.139 0.744
O: 0.250 0.935 0.461
O: 0.749 0.000 0.250
Re: 0.382 0.500 0.250
O: 0.749 0.670 0.580
Re: 0.246 0.368 0.883
O: 0.040 0.355 0.892
O: 0.040 0.645 0.608
Pb: 0.500 0.000 0.000
O: 0.750 0.065 0.539
O: 0.418 0.000 0.250
O: 0.960 0.355 0.392
O: 0.750 0.935 0.961
Re: 0.246 0.632 0.617

Results
M_tot (μB per formula unit): 0.18
Corrected total energy (MP2020 scheme) (eV/atom): -8.07
DFT total energy (eV/cell): -458.3